A plane-wave DFT calculation with PBE was carried out for a relaxed structure of SrGaGeH.

Its formation energy from the elements is -521 meV per atom. The value obtained for the piezoelectric modulus e_max is 0.36 C/m².

POSCAR file:
```
SrGaGeH
1.0
4.265 0.000 0.000
-2.132 3.693 0.000
0.000 0.000 4.964
Sr Ga Ge H
1 1 1 1
Cartesian
0.000 0.000 0.000
0.000 2.462 2.188
2.132 1.231 2.789
0.000 2.462 0.416
```

A plane-wave DFT calculation with PBE was carried out for a relaxed structure of KGaGeO4.

As for the magnetization: 0.000 μB/f.u. Its formation energy from the elements is -2254 meV per atom.

POSCAR file:
```
KGaGeO4
1.0
18.903 0.000 0.000
-9.452 16.371 0.000
0.000 0.000 8.789
K Ga Ge O
24 24 24 96
Cartesian
0.000 0.000 4.282
0.000 0.000 8.677
-4.930 8.670 4.368
-5.059 13.138 4.395
-0.396 5.411 0.005
-4.568 14.008 0.005
0.603 5.421 4.395
4.996 2.188 0.000
4.488 3.048 4.399
0.000 10.914 0.037
0.000 10.914 4.370
4.408 7.767 4.368
8.930 0.066 8.763
0.521 16.305 4.368
5.043 8.604 8.763
9.452 5.457 4.432
9.452 5.457 8.764
4.964 13.322 0.005
4.455 14.183 4.395
8.849 10.950 0.000
14.019 2.362 4.399
9.848 10.960 4.399
14.510 3.233 0.000
14.381 7.701 8.763
-6.317 10.965 1.684
-1.469 2.765 2.792
-6.323 16.261 2.792
-3.049 10.687 6.990
1.660 2.655 7.187
-1.387 8.148 2.592
-1.701 13.498 2.592
3.114 5.418 1.684
6.250 0.012 6.079
1.721 8.387 6.990
1.328 13.668 6.990
6.363 5.276 6.986
3.089 11.095 2.592
8.124 2.703 2.596
7.730 7.984 2.596
3.202 16.359 1.684
6.337 10.953 6.079
11.153 2.873 6.986
10.839 8.223 6.986
7.792 13.716 2.792
12.501 5.684 2.596
15.774 0.110 7.187
10.921 13.606 7.187
15.768 5.406 6.079
-6.240 10.926 6.968
-1.430 2.715 6.160
-6.385 16.252 6.160
-3.118 10.745 1.576
1.637 2.596 1.765
-1.365 8.096 5.961
-1.758 13.505 5.961
3.109 5.504 6.968
6.321 0.059 2.573
1.705 8.298 1.576
1.413 13.698 1.576
6.329 5.230 1.567
3.123 11.141 5.961
8.039 2.673 5.970
7.747 8.073 5.970
3.131 16.312 6.968
6.343 10.867 2.573
11.209 2.866 1.567
10.817 8.274 1.567
7.815 13.775 6.160
12.570 5.626 5.970
15.837 0.119 1.765
10.882 13.655 1.765
15.692 5.445 2.573
-6.132 11.138 8.680
-2.063 4.282 1.879
-6.617 12.701 2.286
-0.869 3.121 4.524
-0.047 2.062 1.833
-7.643 15.380 1.833
-2.812 7.084 2.031
-4.673 10.437 2.386
-0.125 3.128 7.291
-4.648 11.340 6.304
-6.680 14.915 7.291
-1.804 6.538 6.709
1.762 1.071 6.227
-2.758 9.177 5.936
-6.314 15.563 4.524
-3.078 10.043 8.735
2.647 1.673 2.896
2.269 2.313 0.129
-0.789 7.788 4.312
-1.823 9.951 2.492
1.761 4.290 2.286
-2.798 12.484 1.482
0.039 7.705 1.482
-4.712 16.017 1.879
4.595 0.620 6.680
2.677 3.928 6.273
-0.056 8.896 6.844
-1.719 11.971 6.844
-2.312 13.160 4.312
-2.888 14.664 6.709
1.955 6.676 6.304
2.872 5.491 8.680
6.192 0.258 4.285
2.750 7.106 2.386
-1.911 15.264 2.031
2.293 8.684 8.735
1.746 9.817 2.492
4.760 4.831 2.315
0.077 12.974 2.492
6.759 1.645 1.909
-0.125 14.171 5.936
4.729 5.977 6.425
7.529 1.171 6.781
2.883 9.394 5.936
1.775 11.874 6.844
0.785 14.015 8.735
6.692 3.819 5.876
6.350 4.578 8.706
3.102 11.793 4.312
2.759 12.552 1.482
8.667 2.356 4.340
7.676 4.497 2.450
6.568 6.977 1.542
1.923 15.199 2.386
4.723 10.394 2.031
9.577 2.200 1.542
2.693 14.726 6.304
9.374 3.397 6.886
4.692 11.540 6.709
7.706 6.554 6.886
7.158 7.687 4.340
11.363 1.107 6.425
6.702 9.265 6.781
3.260 16.113 8.680
6.579 10.880 4.285
7.497 9.695 1.909
12.340 1.707 2.315
11.764 3.210 8.706
11.171 4.400 2.450
9.508 7.474 2.450
6.775 12.443 1.879
4.856 15.751 2.286
14.163 0.354 6.273
9.412 8.666 5.876
12.250 3.887 5.876
7.691 12.081 6.680
11.275 6.420 6.886
10.241 8.583 8.706
7.183 14.058 4.524
6.805 14.698 7.291
12.530 6.328 4.340
15.766 0.808 0.129
12.210 7.194 1.542
7.690 15.300 1.833
11.255 9.833 2.315
16.131 1.456 2.896
14.100 5.031 1.909
9.577 13.242 2.896
14.125 5.934 6.781
12.264 9.287 6.425
17.095 0.991 6.227
9.498 14.309 6.227
10.321 13.250 0.129
16.069 3.670 6.680
11.515 12.089 6.273
15.584 5.233 4.285
```